Record 1
LiCr2P3O12 (PBE+U, relaxed); DFT formation energy = -2466 meV/atom; ΔE to the lowest computed polymorph = 1.4 meV/atom; final energy = -515.9 eV per cell
1.0
8.524 0.000 0.000
0.000 8.546 0.000
-0.027 0.000 12.117
Li Cr P O
4 8 12 48
Direct
0.000 0.000 0.000
0.000 0.000 0.500
0.500 0.500 0.000
0.500 0.500 0.500
0.220 0.497 0.360
0.220 0.503 0.860
0.279 0.003 0.644
0.279 0.997 0.144
0.721 0.003 0.856
0.721 0.997 0.356
0.780 0.497 0.140
0.780 0.503 0.640
0.000 0.212 0.750
0.000 0.788 0.250
0.147 0.355 0.105
0.147 0.645 0.605
0.351 0.142 0.394
0.351 0.858 0.894
0.500 0.294 0.750
0.500 0.706 0.250
0.649 0.142 0.106
0.649 0.858 0.606
0.853 0.355 0.395
0.853 0.645 0.895
0.027 0.397 0.407
0.027 0.603 0.907
0.074 0.104 0.662
0.074 0.896 0.162
0.121 0.311 0.813
0.121 0.689 0.313
0.156 0.175 0.087
0.156 0.825 0.587
0.220 0.406 0.214
0.220 0.594 0.714
0.251 0.430 0.014
0.251 0.570 0.514
0.252 0.076 0.490
0.252 0.924 0.990
0.264 0.092 0.288
0.264 0.908 0.788
0.354 0.322 0.410
0.354 0.678 0.910
0.373 0.196 0.693
0.373 0.804 0.193
0.428 0.401 0.840
0.428 0.599 0.340
0.479 0.087 0.104
0.479 0.913 0.604
0.521 0.087 0.396
0.521 0.913 0.896
0.572 0.401 0.660
0.572 0.599 0.160
0.627 0.196 0.807
0.627 0.804 0.307
0.646 0.322 0.090
0.646 0.678 0.590
0.736 0.092 0.212
0.736 0.908 0.712
0.748 0.076 0.010
0.748 0.924 0.510
0.749 0.430 0.486
0.749 0.570 0.986
0.780 0.406 0.286
0.780 0.594 0.786
0.844 0.175 0.413
0.844 0.825 0.913
0.879 0.311 0.687
0.879 0.689 0.187
0.926 0.104 0.838
0.926 0.896 0.338
0.973 0.397 0.093
0.973 0.603 0.593

=====

Record 2
LaMgCr2O6 (PBE+U, relaxed); DFT formation energy = -2729 meV/atom; final energy = -149.4 eV per cell
1.0
7.749 0.000 0.000
0.000 5.419 0.000
0.000 0.000 5.317
La Mg Cr O
2 2 4 12
Direct
0.000 0.213 0.000
0.500 0.787 0.500
0.000 0.697 0.479
0.500 0.303 0.979
0.250 0.254 0.492
0.250 0.746 0.992
0.750 0.254 0.492
0.750 0.746 0.992
0.000 0.304 0.573
0.000 0.773 0.870
0.192 0.941 0.302
0.196 0.477 0.211
0.304 0.523 0.711
0.308 0.059 0.802
0.500 0.227 0.370
0.500 0.696 0.073
0.692 0.059 0.802
0.696 0.523 0.711
0.804 0.477 0.211
0.808 0.941 0.302

=====

Record 3
Mn3SnO8 (PBE+U, relaxed); DFT formation energy = -1793 meV/atom; largest piezoelectric modulus = 0.0 C/m2; final energy = -328.4 eV per cell
1.0
8.447 0.000 0.000
0.000 8.447 0.000
0.000 0.000 8.447
Mn Sn O
12 4 32
Direct
0.111 0.139 0.625
0.125 0.389 0.861
0.139 0.625 0.111
0.361 0.375 0.611
0.375 0.611 0.361
0.389 0.861 0.125
0.611 0.361 0.375
0.625 0.111 0.139
0.639 0.875 0.889
0.861 0.125 0.389
0.875 0.889 0.639
0.889 0.639 0.875
0.125 0.875 0.375
0.375 0.125 0.875
0.625 0.625 0.625
0.875 0.375 0.125
0.092 0.123 0.396
0.104 0.908 0.623
0.118 0.618 0.882
0.123 0.396 0.092
0.127 0.158 0.854
0.132 0.368 0.632
0.146 0.627 0.342
0.158 0.854 0.127
0.342 0.146 0.627
0.354 0.373 0.842
0.368 0.632 0.132
0.373 0.842 0.354
0.377 0.604 0.592
0.382 0.382 0.382
0.396 0.092 0.123
0.408 0.877 0.896
0.592 0.377 0.604
0.604 0.592 0.377
0.618 0.882 0.118
0.623 0.104 0.908
0.627 0.342 0.146
0.632 0.132 0.368
0.646 0.873 0.658
0.658 0.646 0.873
0.842 0.354 0.373
0.854 0.127 0.158
0.868 0.868 0.868
0.873 0.658 0.646
0.877 0.896 0.408
0.882 0.118 0.618
0.896 0.408 0.877
0.908 0.623 0.104

=====

Record 4
MnFe5O8 (PBE+U, relaxed); DFT formation energy = -1616 meV/atom; final energy = -95.3 eV per cell
1.0
3.031 1.750 5.025
-3.031 1.750 5.025
0.000 -3.500 5.025
Mn Fe O
1 5 8
Direct
0.000 0.000 0.000
0.000 0.000 0.500
0.000 0.500 0.000
0.376 0.376 0.376
0.500 0.000 0.000
0.624 0.624 0.624
0.234 0.748 0.748
0.245 0.245 0.245
0.252 0.252 0.766
0.252 0.766 0.252
0.748 0.234 0.748
0.748 0.748 0.234
0.755 0.755 0.755
0.766 0.252 0.252

=====

M_tot / μB/cell: 16.00, 10.00, 36.00, 29.00